This record from the Materials Project database describes PaGe3 after structural relaxation. The functional is PBE.

Calculated values
Energy of formation from the pure elements in eV/atom: -0.456

abc: 4.273 4.273 4.273
angles: 90.00 90.00 90.00
Fractional coordinates of all 4 atoms:
Pa 0.000 0.000 0.000
Ge 0.000 0.500 0.500
Ge 0.500 0.000 0.500
Ge 0.500 0.500 0.000